Compound: Nb3CuO8
Source: the Materials Project
Functional: PBE-GGA
Structure: relaxed

Values from the calculation:
E (MP2020) (eV/cell): -425.40
Space-group type: P2_1/c, No. 14
Magnetization (μB per formula unit): 0.0
E (eV per cell): -403.4
Crystal system: monoclinic
Energy of formation from the pure elements (kJ/mol of atoms): -260
Volume (Å³/atom): 12.108

Cell lengths 7.6621, 5.1010, 15.5629 Å; angles 90.00, 107.17, 90.00 degrees
Fractional coordinates of all 48 atoms:
Nb1 0.0080 0.2354 0.1673
Nb2 0.0080 0.2646 0.6673
Nb3 0.2514 0.7458 0.0759
Nb4 0.2514 0.7542 0.5759
Nb5 0.4829 0.7404 0.3351
Nb6 0.4829 0.7596 0.8351
Nb7 0.5171 0.2404 0.1649
Nb8 0.5171 0.2596 0.6649
Nb9 0.7486 0.2458 0.4241
Nb10 0.7486 0.2542 0.9241
Nb11 0.9920 0.7355 0.3327
Nb12 0.9920 0.7645 0.8327
Cu1 0.2661 0.2418 0.4222
Cu2 0.2661 0.2582 0.9222
Cu3 0.7339 0.7418 0.0778
Cu4 0.7339 0.7582 0.5778
O1 0.0422 0.5749 0.6000
O2 0.0422 0.9251 0.1000
O3 0.0835 0.0695 0.2808
O4 0.0835 0.4305 0.7808
O5 0.1520 0.5996 0.9611
O6 0.1520 0.9004 0.4611
O7 0.2197 0.0804 0.6547
O8 0.2197 0.4196 0.1547
O9 0.2662 0.5978 0.3466
O10 0.2662 0.9022 0.8466
O11 0.3516 0.0722 0.0478
O12 0.3516 0.4278 0.5478
O13 0.4156 0.5850 0.7160
O14 0.4156 0.9150 0.2160
O15 0.4973 0.0670 0.4007
O16 0.4973 0.4330 0.9007
O17 0.5027 0.5670 0.0993
O18 0.5027 0.9330 0.5993
O19 0.5844 0.0850 0.7840
O20 0.5844 0.4150 0.2840
O21 0.6484 0.5722 0.4522
O22 0.6484 0.9278 0.9522
O23 0.7338 0.0978 0.1533
O24 0.7338 0.4022 0.6534
O25 0.7803 0.5804 0.8453
O26 0.7803 0.9196 0.3453
O27 0.8480 0.0996 0.5389
O28 0.8480 0.4004 0.0389
O29 0.9165 0.5695 0.2192
O30 0.9165 0.9305 0.7192
O31 0.9578 0.0749 0.9000
O32 0.9578 0.4251 0.4000

=====

Compound: NbCuO3
Source: the Materials Project
Functional: PBE-GGA
Structure: relaxed

Values from the calculation:
E (MP2020) (eV/cell): -162.17
Space-group type: C2/m, No. 12
E (eV per cell): -153.9
Crystal system: monoclinic
Energy of formation from the pure elements (kJ/mol of atoms): -222
Volume (Å³/atom): 14.598

Cell lengths 6.5373, 6.5373, 6.8718 Å; angles 90.55, 90.55, 83.84 degrees
Fractional coordinates of all 20 atoms:
Nb1 0.2014 0.7986 0.0000
Nb2 0.2492 0.2492 0.7777
Nb3 0.7508 0.7508 0.2223
Nb4 0.7986 0.2014 0.0000
Cu1 0.1525 0.8475 0.5000
Cu2 0.2155 0.2155 0.2962
Cu3 0.7845 0.7845 0.7038
Cu4 0.8475 0.1525 0.5000
O1 0.0704 0.7455 0.2588
O2 0.1292 0.1292 0.0567
O3 0.2065 0.5301 0.8930
O4 0.2545 0.9296 0.7412
O5 0.3062 0.3062 0.5260
O6 0.4699 0.7935 0.1070
O7 0.5301 0.2065 0.8930
O8 0.6938 0.6938 0.4740
O9 0.7455 0.0704 0.2588
O10 0.7935 0.4699 0.1070
O11 0.8708 0.8708 0.9433
O12 0.9296 0.2545 0.7412

=====

Compound: Nb8Cu2O21
Source: the Materials Project
Functional: PBE-GGA
Structure: relaxed

Values from the calculation:
E (MP2020) (eV/cell): -557.24
Magnetization (μB per formula unit): 0.0
E (eV per cell): -528.4
Energy of formation from the pure elements (kJ/mol of atoms): -267
Volume (Å³/atom): 11.475

Cell lengths 10.7231, 6.5202, 10.3409 Å; angles 90.00, 100.25, 90.00 degrees
Fractional coordinates of all 62 atoms:
Nb1 0.2450 0.0000 0.4354
Nb2 0.7550 0.0000 0.5646
Nb3 0.7450 0.5000 0.4354
Nb4 0.2550 0.5000 0.5646
Nb5 0.6991 0.0000 0.2278
Nb6 0.3009 0.0000 0.7722
Nb7 0.1991 0.5000 0.2278
Nb8 0.8009 0.5000 0.7722
Nb9 0.0015 0.0000 0.1858
Nb10 0.9985 0.0000 0.8142
Nb11 0.5015 0.5000 0.1858
Nb12 0.4985 0.5000 0.8142
Nb13 0.3795 0.0000 0.1660
Nb14 0.6205 0.0000 0.8340
Nb15 0.8795 0.5000 0.1660
Nb16 0.1205 0.5000 0.8340
Cu1 0.5000 0.2505 0.5000
Cu2 0.0000 0.7505 0.5000
Cu3 0.5000 0.7495 0.5000
Cu4 0.0000 0.2495 0.5000
O1 0.0505 0.0000 0.3906
O2 0.9495 0.0000 0.6094
O3 0.5505 0.5000 0.3906
O4 0.4495 0.5000 0.6094
O5 0.4132 0.0000 0.3914
O6 0.5868 0.0000 0.6086
O7 0.9132 0.5000 0.3914
O8 0.0868 0.5000 0.6086
O9 0.0000 0.0000 0.0000
O10 0.5000 0.5000 0.0000
O11 0.8423 0.8162 0.1869
O12 0.1577 0.8162 0.8131
O13 0.3423 0.3162 0.1869
O14 0.6577 0.3162 0.8131
O15 0.1577 0.1838 0.8131
O16 0.8423 0.1838 0.1869
O17 0.6577 0.6838 0.8131
O18 0.3423 0.6838 0.1869
O19 0.2702 0.1803 0.6072
O20 0.7298 0.1803 0.3928
O21 0.7702 0.6803 0.6072
O22 0.2298 0.6803 0.3928
O23 0.7298 0.8197 0.3928
O24 0.2702 0.8197 0.6072
O25 0.2298 0.3197 0.3928
O26 0.7702 0.3197 0.6072
O27 0.6636 0.0000 0.0106
O28 0.3364 0.0000 0.9894
O29 0.1636 0.5000 0.0106
O30 0.8364 0.5000 0.9894
O31 0.2032 0.0000 0.2254
O32 0.7968 0.0000 0.7746
O33 0.7032 0.5000 0.2254
O34 0.2968 0.5000 0.7746
O35 0.0458 0.3144 0.1880
O36 0.9542 0.3144 0.8120
O37 0.5458 0.8144 0.1880
O38 0.4542 0.8144 0.8120
O39 0.9542 0.6856 0.8120
O40 0.0458 0.6856 0.1880
O41 0.4542 0.1856 0.8120
O42 0.5458 0.1856 0.1880

=====

Compound: NbCuP2O8
Source: the Materials Project
Functional: PBE-GGA
Structure: relaxed

Values from the calculation:
E (MP2020) (eV/cell): -188.61
Space-group type: P2_1/m, No. 11
Magnetization (μB per formula unit): 0.0
E (eV per cell): -177.6
Crystal system: monoclinic
Energy of formation from the pure elements (kJ/mol of atoms): -239
Volume (Å³/atom): 13.180

Cell lengths 5.1215, 6.2071, 9.9525 Å; angles 90.00, 91.18, 90.00 degrees
Fractional coordinates of all 24 atoms:
Nb1 0.0295 0.2500 0.2760
Nb2 0.9705 0.7500 0.7240
Cu1 0.4297 0.2500 0.7774
Cu2 0.5703 0.7500 0.2226
P1 0.0556 0.7500 0.4001
P2 0.3962 0.7500 0.9027
P3 0.6038 0.2500 0.0973
P4 0.9444 0.2500 0.5999
O1 0.1561 0.7500 0.5507
O2 0.1782 0.5452 0.3327
O3 0.1782 0.9548 0.3327
O4 0.2387 0.2500 0.6046
O5 0.2407 0.5611 0.8276
O6 0.2407 0.9389 0.8276
O7 0.3151 0.2500 0.1430
O8 0.3706 0.7500 0.0511
O9 0.6294 0.2500 0.9489
O10 0.6849 0.7500 0.8570
O11 0.7593 0.0611 0.1724
O12 0.7593 0.4389 0.1724
O13 0.7613 0.7500 0.3954
O14 0.8218 0.0452 0.6673
O15 0.8218 0.4548 0.6673
O16 0.8439 0.2500 0.4493

=====

Compound: NbCu3P4O16
Source: the Materials Project
Functional: PBE-GGA
Structure: relaxed

Values from the calculation:
E (MP2020) (eV/cell): -175.95
Space-group type: Pm, No. 6
Magnetization (μB per formula unit): 2.0
E (eV per cell): -165.0
Crystal system: monoclinic
Energy of formation from the pure elements (kJ/mol of atoms): -212
Volume (Å³/atom): 12.468

Cell lengths 5.0057, 6.0401, 9.8993 Å; angles 90.00, 91.24, 90.00 degrees
Fractional coordinates of all 24 atoms:
Nb1 0.0000 0.0000 0.0000
Cu1 0.0832 0.5000 0.5587
Cu2 0.4270 0.5000 0.0782
Cu3 0.6210 0.0000 0.4969
P1 0.1207 0.0000 0.6686
P2 0.4360 0.0000 0.1901
P3 0.6101 0.5000 0.3829
P4 0.9656 0.5000 0.8750
O1 0.1768 0.0000 0.8318
O2 0.2600 0.2049 0.6119
O3 0.2600 0.7951 0.6119
O4 0.2664 0.5000 0.9031
O5 0.2769 0.1922 0.1137
O6 0.2769 0.8078 0.1137
O7 0.3071 0.5000 0.3997
O8 0.3936 0.0000 0.3395
O9 0.6621 0.5000 0.2287
O10 0.7286 0.0000 0.1480
O11 0.7649 0.3025 0.4528
O12 0.7649 0.6975 0.4528
O13 0.8145 0.0000 0.6625
O14 0.8370 0.2917 0.9503
O15 0.8370 0.7083 0.9503
O16 0.8806 0.5000 0.7281

=====

Compound: Sr2SmNbCu2O8
Source: the Materials Project
Functional: PBE-GGA
Structure: relaxed

Values from the calculation:
E (MP2020) (eV/cell): -207.72
Space-group type: I4/mcm, No. 140
Magnetization (μB per formula unit): 0.0
E (eV per cell): -196.7
Crystal system: tetragonal
Energy of formation from the pure elements (kJ/mol of atoms): -261
Volume (Å³/atom): 12.878

Cell lengths 12.4582, 12.4582, 12.4582 Å; angles 154.40, 154.40, 36.52 degrees
Fractional coordinates of all 28 atoms:
Sr1 0.0997 0.5997 0.5000
Sr2 0.4003 0.9003 0.5000
Sr3 0.5997 0.0997 0.5000
Sr4 0.9003 0.4003 0.5000
Sm1 0.2500 0.7500 0.5000
Sm2 0.7500 0.2500 0.5000
Nb1 0.0000 0.0000 0.0000
Nb2 0.5000 0.5000 0.0000
Cu1 0.1799 0.1799 0.0000
Cu2 0.3201 0.3201 0.0000
Cu3 0.6799 0.6799 0.0000
Cu4 0.8201 0.8201 0.0000
O1 0.0594 0.0685 0.5000
O2 0.0685 0.5685 0.0091
O3 0.0838 0.0838 0.0000
O4 0.1806 0.6806 0.8612
O5 0.3194 0.1806 0.5000
O6 0.4162 0.4162 0.0000
O7 0.4315 0.4406 0.5000
O8 0.4406 0.9406 0.0091
O9 0.5594 0.0594 0.9909
O10 0.5685 0.5594 0.5000
O11 0.5838 0.5838 0.0000
O12 0.6806 0.8194 0.5000
O13 0.8194 0.3194 0.1388
O14 0.9162 0.9162 0.0000
O15 0.9315 0.4315 0.9909
O16 0.9406 0.9315 0.5000

=====

Compound: Ti2Nb2Cu3O12
Source: the Materials Project
Functional: PBE-GGA
Structure: relaxed

Values from the calculation:
E (MP2020) (eV/cell): -154.22
Space-group type: C2/m, No. 12
Magnetization (μB per formula unit): 3.0
E (eV per cell): -146.0
Crystal system: monoclinic
Energy of formation from the pure elements (kJ/mol of atoms): -236
Volume (Å³/atom): 11.256

Cell lengths 6.4973, 6.4973, 7.5283 Å; angles 124.88, 124.88, 70.95 degrees
Fractional coordinates of all 19 atoms:
Ti1 0.0000 0.5000 0.0000
Ti2 0.5000 0.0000 0.0000
Nb1 0.0000 0.5000 0.5000
Nb2 0.5000 0.0000 0.5000
Cu1 0.0000 0.0000 0.0000
Cu2 0.0000 0.0000 0.5000
Cu3 0.5000 0.5000 0.0000
O1 0.0072 0.3694 0.1867
O2 0.1863 0.8099 0.3171
O3 0.1901 0.8137 0.6829
O4 0.3164 0.3164 0.0052
O5 0.3219 0.3219 0.6345
O6 0.3694 0.0072 0.1867
O7 0.6306 0.9928 0.8133
O8 0.6781 0.6781 0.3655
O9 0.6836 0.6836 0.9948
O10 0.8099 0.1863 0.3171
O11 0.8137 0.1901 0.6829
O12 0.9928 0.6306 0.8133

=====

Compound: Rb2NbCuSe4
Source: the Materials Project
Functional: PBE-GGA
Structure: relaxed

Values from the calculation:
E (MP2020) (eV/cell): -79.25
Energy above the lowest structure with this stoichiometry (meV/atom): 7.7
Space-group type: P1, No. 1
Magnetization (μB per formula unit): 0.0
E (eV per cell): -75.5
Crystal system: triclinic
Energy of formation from the pure elements (kJ/mol of atoms): -114
Volume (Å³/atom): 32.579

Cell lengths 5.8022, 7.7058, 12.9148 Å; angles 85.15, 77.02, 67.88 degrees
Fractional coordinates of all 16 atoms:
Rb1 0.0000 0.0000 0.0000
Rb2 0.1204 0.4982 0.7860
Rb3 0.3696 0.9909 0.2843
Rb4 0.7585 0.4921 0.5054
Nb1 0.1867 0.9889 0.6457
Nb2 0.9322 0.4900 0.1454
Cu1 0.4279 0.4973 0.1479
Cu2 0.6769 0.0005 0.6437
Se1 0.0324 0.6855 0.2548
Se2 0.0923 0.8000 0.5303
Se3 0.3366 0.2921 0.0352
Se4 0.3849 0.1969 0.5371
Se5 0.4661 0.7995 0.7580
Se6 0.6509 0.6964 0.0330
Se7 0.7343 0.3029 0.2572
Se8 0.7895 0.1885 0.7517

=====

Compound: Rb2NbCuSe4
Source: the Materials Project
Functional: PBE-GGA
Structure: relaxed

Values from the calculation:
E (MP2020) (eV/cell): -79.37
Energy above the lowest structure with this stoichiometry (meV/atom): 0.0
Space-group type: Fddd, No. 70
Magnetization (μB per formula unit): 0.0
E (eV per cell): -75.6
Crystal system: orthorhombic
Energy of formation from the pure elements (kJ/mol of atoms): -115
Volume (Å³/atom): 32.579

Cell lengths 14.4685, 12.9148, 7.7058 Å; angles 85.15, 62.80, 32.05 degrees
Fractional coordinates of all 16 atoms:
Rb1 0.0538 0.0538 0.6962
Rb2 0.3038 0.3038 0.9462
Rb3 0.6962 0.6962 0.0538
Rb4 0.9462 0.9462 0.3038
Nb1 0.1250 0.1250 0.1250
Nb2 0.8750 0.8750 0.8750
Cu1 0.3750 0.3750 0.3750
Cu2 0.6250 0.6250 0.6250
Se1 0.0329 0.3275 0.4138
Se2 0.2742 0.5862 0.6725
Se3 0.3275 0.0329 0.7258
Se4 0.4138 0.7258 0.0329
Se5 0.5862 0.2742 0.9671
Se6 0.6725 0.9671 0.2742
Se7 0.7258 0.4138 0.3275
Se8 0.9671 0.6725 0.5862

=====

Compound: Nb2CuS4
Source: the Materials Project
Functional: PBE-GGA
Structure: relaxed

Values from the calculation:
E (MP2020) (eV/cell): -46.14
Energy above the lowest structure with this stoichiometry (meV/atom): 446.8
Space-group type: P-3m1, No. 164
Magnetization (μB per formula unit): 0.0
E (eV per cell): -44.1
Crystal system: trigonal
Energy of formation from the pure elements (kJ/mol of atoms): -73
Volume (Å³/atom): 20.500

Cell lengths 3.6042, 3.6042, 12.7552 Å; angles 90.00, 90.00, 120.00 degrees
Fractional coordinates of all 7 atoms:
Nb1 0.3333 0.6667 0.2811
Nb2 0.6667 0.3333 0.7189
Cu1 0.0000 0.0000 0.0000
S1 0.3333 0.6667 0.1016
S2 0.3333 0.6667 0.6240
S3 0.6667 0.3333 0.3760
S4 0.6667 0.3333 0.8984

=====

Compound: Nb2CuS4
Source: the Materials Project
Functional: PBE-GGA
Structure: relaxed

Values from the calculation:
E (MP2020) (eV/cell): -188.17
Energy above the lowest structure with this stoichiometry (meV/atom): 317.6
Space-group type: Pnma, No. 62
Magnetization (μB per formula unit): 0.0
E (eV per cell): -180.1
Crystal system: orthorhombic
Energy of formation from the pure elements (kJ/mol of atoms): -85
Volume (Å³/atom): 16.373

Cell lengths 10.0454, 3.3759, 13.5184 Å; angles 90.00, 90.00, 90.00 degrees
Fractional coordinates of all 28 atoms:
Nb1 0.0195 0.2500 0.0862
Nb2 0.1424 0.7500 0.3992
Nb3 0.3576 0.2500 0.8992
Nb4 0.4805 0.7500 0.5862
Nb5 0.5195 0.2500 0.4138
Nb6 0.6424 0.7500 0.1008
Nb7 0.8576 0.2500 0.6008
Nb8 0.9805 0.7500 0.9138
Cu1 0.2077 0.2500 0.6719
Cu2 0.2923 0.7500 0.1719
Cu3 0.7077 0.2500 0.8281
Cu4 0.7923 0.7500 0.3281
S1 0.0490 0.7500 0.5820
S2 0.1182 0.2500 0.8266
S3 0.1387 0.2500 0.2581
S4 0.1947 0.7500 0.0122
S5 0.3053 0.2500 0.5122
S6 0.3613 0.7500 0.7581
S7 0.3818 0.7500 0.3266
S8 0.4510 0.2500 0.0820
S9 0.5490 0.7500 0.9180
S10 0.6182 0.2500 0.6734
S11 0.6387 0.2500 0.2419
S12 0.6947 0.7500 0.4878
S13 0.8053 0.2500 0.9878
S14 0.8613 0.7500 0.7419
S15 0.8818 0.7500 0.1734
S16 0.9510 0.2500 0.4180

=====

Compound: Nb2CuS4
Source: the Materials Project
Functional: PBE-GGA
Structure: relaxed

Values from the calculation:
E (MP2020) (eV/cell): -191.01
Energy above the lowest structure with this stoichiometry (meV/atom): 216.2
Space-group type: Pnma, No. 62
Magnetization (μB per formula unit): 0.0
E (eV per cell): -183.0
Crystal system: orthorhombic
Energy of formation from the pure elements (kJ/mol of atoms): -95
Volume (Å³/atom): 18.175

Cell lengths 11.4580, 3.3679, 13.1877 Å; angles 90.00, 90.00, 90.00 degrees
Fractional coordinates of all 28 atoms:
Nb1 0.0422 0.2500 0.0922
Nb2 0.0652 0.2500 0.5782
Nb3 0.4348 0.7500 0.0782
Nb4 0.4578 0.7500 0.5922
Nb5 0.5422 0.2500 0.4078
Nb6 0.5652 0.2500 0.9218
Nb7 0.9348 0.7500 0.4218
Nb8 0.9578 0.7500 0.9078
Cu1 0.1815 0.2500 0.2648
Cu2 0.3185 0.7500 0.7648
Cu3 0.6815 0.2500 0.2352
Cu4 0.8185 0.7500 0.7352
S1 0.0191 0.7500 0.7151
S2 0.1107 0.2500 0.9189
S3 0.1419 0.7500 0.4613
S4 0.2107 0.7500 0.1467
S5 0.2893 0.2500 0.6467
S6 0.3581 0.2500 0.9613
S7 0.3893 0.7500 0.4189
S8 0.4809 0.2500 0.2151
S9 0.5191 0.7500 0.7849
S10 0.6107 0.2500 0.5811
S11 0.6419 0.7500 0.0387
S12 0.7107 0.7500 0.3533
S13 0.7893 0.2500 0.8533
S14 0.8581 0.2500 0.5387
S15 0.8893 0.7500 0.0811
S16 0.9809 0.2500 0.2849